[1]
This record from the Materials Project describes a geometry-optimized LiSi5O10 structure. The functional is PBE.

## Properties
- Theoretical density: 1.62 Mg/m³
- Formation enthalpy at 0 K: -2.940 eV per atom
- SG: P-4m2 (115)
- Crystal system: tetragonal

Lattice parameters (Å, degrees): 6.967 6.967 6.479 90.00 90.00 90.00
Positions (direct):
O (0.500, 0.000, 0.120)
Li (0.500, 0.500, 0.500)
Si (0.000, 0.731, 0.881)
O (0.192, 0.808, 0.000)
O (0.000, 0.807, 0.643)
O (0.808, 0.808, 0.000)
Si (0.000, 0.269, 0.881)
O (0.000, 0.500, 0.880)
Si (0.269, 0.000, 0.119)
O (0.000, 0.193, 0.643)
O (0.193, 0.000, 0.357)
Si (0.731, 0.000, 0.119)
O (0.192, 0.192, 0.000)
O (0.808, 0.192, 0.000)
Si (0.000, 0.000, 0.500)
O (0.807, 0.000, 0.357)

=====

[2]
This record from the Materials Project describes a geometry-optimized ZrZnN2 structure. The functional is PBE.

## Properties
- Theoretical density: 6.05 Mg/m³
- Piezoelectric modulus e_max: 3.28 C/m2
- Formation enthalpy at 0 K: -1.045 eV per atom
- SG: P3m1 (156)
- Crystal system: trigonal

Lattice parameters (Å, degrees): 3.311 3.311 5.337 90.00 90.00 120.00
Positions (direct):
Zn (0.667, 0.333, 0.450)
Zr (0.000, 0.000, 0.003)
N (0.667, 0.333, 0.817)
N (0.333, 0.667, 0.260)

=====

[3]
This record from the Materials Project describes a geometry-optimized Pr2Co7 structure. The functional is PBE.

## Properties
- Theoretical density: 8.48 Mg/m³
- Formation enthalpy at 0 K: 0.002 eV per atom
- SG: R-3m (166)
- Crystal system: trigonal

Lattice parameters (Å, degrees): 5.050 5.050 12.652 78.49 78.49 60.00
Positions (direct):
Co (0.395, 0.395, 0.321)
Pr (0.051, 0.051, 0.846)
Co (0.387, 0.387, 0.839)
Co (0.279, 0.279, 0.163)
Co (0.605, 0.605, 0.679)
Co (0.605, 0.112, 0.679)
Co (0.888, 0.395, 0.321)
Co (0.000, 0.500, 0.000)
Co (0.500, 0.500, 0.000)
Pr (0.949, 0.949, 0.154)
Co (0.500, 0.500, 0.500)
Co (0.112, 0.605, 0.679)
Co (0.721, 0.721, 0.837)
Co (0.500, 0.000, 0.000)
Pr (0.852, 0.852, 0.445)
Pr (0.148, 0.148, 0.555)
Co (0.613, 0.613, 0.161)
Co (0.395, 0.888, 0.321)